# 1
The following is a GGA-PBE calculation of CeCu5Au after structural relaxation, from Materials Project.

Cell lengths 5.035, 8.235, 10.379 Å; angles 90.00, 90.00, 90.00 degrees
Sites, in units of the cell vectors:
Cu1 0.250 0.814 0.253
Cu2 0.250 0.055 0.106
Cu3 0.999 0.066 0.313
Cu4 0.750 0.686 0.753
Ce1 0.250 0.260 0.565
Cu5 0.999 0.566 0.187
Cu6 0.001 0.434 0.813
Cu7 0.750 0.945 0.894
Cu8 0.499 0.934 0.687
Cu9 0.001 0.934 0.687
Cu10 0.250 0.555 0.394
Cu11 0.250 0.910 0.484
Cu12 0.250 0.314 0.247
Au1 0.750 0.861 0.138
Cu13 0.499 0.434 0.813
Au2 0.750 0.361 0.362
Cu14 0.250 0.410 0.016
Au3 0.250 0.139 0.862
Cu15 0.750 0.186 0.747
Cu16 0.750 0.445 0.606
Au4 0.250 0.639 0.638
Cu17 0.750 0.090 0.516
Ce2 0.250 0.760 0.935
Ce3 0.750 0.240 0.065
Ce4 0.750 0.740 0.435
Cu18 0.501 0.066 0.313
Cu19 0.501 0.566 0.187
Cu20 0.750 0.590 0.984

## Properties
Calculated volume, Å³/atom: 15.37
DFT formation energy, eV/atom: -0.2215
Symmetry: Pnma, No. 62

---

# 2
The following is a GGA-PBE calculation of CsLaZr6FeCl18 after structural relaxation, from Materials Project.

Cell lengths 9.862, 9.862, 18.733 Å; angles 90.00, 90.00, 120.00 degrees
Sites, in units of the cell vectors:
Cl1 0.581 0.727 0.001
Cl2 0.544 0.625 0.663
Zr1 0.958 0.780 0.425
Cl3 0.581 0.853 0.499
Zr2 0.822 0.042 0.425
Cl4 0.188 0.956 0.342
Cl5 0.147 0.419 0.001
Cl6 0.044 0.233 0.342
Cl7 0.812 0.044 0.658
Cl8 0.812 0.767 0.842
Zr3 0.822 0.780 0.075
Cl9 0.044 0.812 0.158
Zr4 0.178 0.958 0.575
Cl10 0.375 0.456 0.837
Cl11 0.273 0.419 0.499
Cl12 0.919 0.375 0.163
Cl13 0.273 0.853 0.001
Zr5 0.178 0.220 0.925
Fe1 0.000 0.000 0.500
Fe2 0.000 0.000 0.000
Zr6 0.220 0.042 0.075
La1 0.667 0.333 0.250
Cl14 0.727 0.147 0.999
La2 0.333 0.667 0.750
Zr7 0.042 0.822 0.925
Cl15 0.188 0.233 0.158
Cl16 0.853 0.581 0.999
Cl17 0.147 0.727 0.499
Cl18 0.956 0.188 0.842
Cl19 0.233 0.044 0.842
Cl20 0.767 0.956 0.158
Cl21 0.375 0.919 0.663
Cl22 0.919 0.544 0.337
Zr8 0.958 0.178 0.075
Zr9 0.042 0.220 0.575
Zr10 0.780 0.822 0.575
Cl23 0.767 0.812 0.342
Cl24 0.625 0.544 0.163
Cl25 0.419 0.273 0.999
Cl26 0.456 0.375 0.337
Cl27 0.419 0.147 0.501
Cl28 0.727 0.581 0.501
Cl29 0.544 0.919 0.837
Cl30 0.233 0.188 0.658
Cl31 0.081 0.456 0.663
Cs1 0.667 0.333 0.750
Cl32 0.625 0.081 0.337
Zr11 0.220 0.178 0.425
Cl33 0.956 0.767 0.658
Cl34 0.456 0.081 0.163
Cl35 0.853 0.273 0.501
Cs2 0.333 0.667 0.250
Zr12 0.780 0.958 0.925
Cl36 0.081 0.625 0.837

## Properties
Calculated volume, Å³/atom: 29.22
Magnetic moment, μB per cell: 0.0
DFT formation energy, eV/atom: -2.2278
Symmetry: P-31c, No. 163
Corrected total energy (MP2020 scheme), eV per atom: -5.89

---

# 3
The following is a GGA-PBE calculation of Cr3P after structural relaxation, from Materials Project.

Cell lengths 6.813, 6.813, 6.813 Å; angles 96.25, 96.25, 141.46 degrees
Sites, in units of the cell vectors:
Cr1 0.969 0.641 0.612
Cr2 0.689 0.866 0.026
Cr3 0.840 0.663 0.974
Cr4 0.398 0.009 0.944
Cr5 0.065 0.454 0.056
Cr6 0.337 0.311 0.177
P1 0.787 0.452 0.245
Cr7 0.546 0.602 0.611
Cr8 0.359 0.971 0.329
Cr9 0.029 0.357 0.388
Cr10 0.991 0.935 0.389
P2 0.206 0.541 0.755
Cr11 0.134 0.160 0.823
Cr12 0.643 0.031 0.671
P3 0.548 0.794 0.335
P4 0.459 0.213 0.665

## Properties
Calculated volume, Å³/atom: 11.62
DFT formation energy, eV/atom: -0.3396
Symmetry: I-4, No. 82